Computed, not measured: a geometry-optimized BiPS4 structure at the r²SCAN level of DFT.

abc: 12.558 12.558 12.557
angles: 129.84 127.04 75.94
Atoms (fractional coordinates):
S 0.594 0.884 0.985
S 0.346 0.911 0.586
S 0.846 0.260 0.436
S 0.175 0.240 0.086
S 0.881 0.585 0.482
S 0.397 0.601 0.982
S 0.897 0.915 0.797
S 0.325 0.410 0.064
S 0.898 0.384 0.790
S 0.903 0.339 0.073
S 0.398 0.609 0.515
S 0.154 0.740 0.564
S 0.766 0.830 0.427
S 0.102 0.616 0.210
S 0.906 0.891 0.290
S 0.734 0.161 0.064
S 0.406 0.116 0.015
S 0.403 0.330 0.564
S 0.619 0.101 0.703
S 0.094 0.109 0.710
S 0.234 0.170 0.573
S 0.675 0.590 0.936
S 0.602 0.391 0.485
S 0.825 0.760 0.914
S 0.603 0.399 0.018
S 0.654 0.089 0.414
S 0.597 0.670 0.436
S 0.103 0.085 0.203
S 0.266 0.839 0.936
S 0.381 0.899 0.297
S 0.097 0.661 0.927
S 0.119 0.415 0.518
P 0.214 0.250 0.464
P 0.786 0.750 0.536
P 0.250 0.220 0.970
P 0.750 0.780 0.030
P 0.286 0.750 0.036
P 0.714 0.250 0.964
P 0.750 0.280 0.530
P 0.250 0.720 0.470
Bi 0.141 0.891 0.250
Bi 0.859 0.109 0.750
Bi 0.899 0.649 0.250
Bi 0.101 0.351 0.750
Bi 0.359 0.609 0.750
Bi 0.641 0.391 0.250
Bi 0.601 0.851 0.750
Bi 0.399 0.149 0.250

Calculated volume = 1180 Å³/cell
SG = Ibca (73)

***

Computed, not measured: a geometry-optimized Tb2Si3 structure at the r²SCAN level of DFT.

abc: 7.445 7.445 7.445
angles: 149.92 148.49 44.12
Atoms (fractional coordinates):
Tb 0.127 0.627 0.500
Tb 0.373 0.373 0.000
Si 0.800 0.800 0.000
Si 0.701 0.201 0.500
Si 0.534 0.034 0.500

Calculated volume = 108 Å³/cell
SG = Imm2 (44)

***

Computed, not measured: a geometry-optimized PrAgHg2 structure at the r²SCAN level of DFT.

abc: 5.110 5.110 5.110
angles: 60.00 60.00 60.00
Atoms (fractional coordinates):
Hg 0.500 0.500 0.500
Hg 0.000 0.000 0.000
Ag 0.250 0.250 0.250
Pr 0.750 0.750 0.750

Calculated volume = 94 Å³/cell
SG = Fm-3m (225)

***

Computed, not measured: a geometry-optimized Tm2AgHg structure at the r²SCAN level of DFT.

abc: 5.094 5.094 5.094
angles: 60.00 60.00 60.00
Atoms (fractional coordinates):
Ag 0.250 0.250 0.250
Tm 0.000 0.000 0.000
Tm 0.500 0.500 0.500
Hg 0.750 0.750 0.750

Calculated volume = 93 Å³/cell
SG = Fm-3m (225)

***

Computed, not measured: a geometry-optimized Mg44Ir7 structure at the r²SCAN level of DFT.

abc: 14.106 14.106 14.106
angles: 60.00 60.00 60.00
Atoms (fractional coordinates):
Mg 0.519 0.869 0.519
Mg 0.914 0.525 0.280
Mg 0.439 0.684 0.439
Mg 0.519 0.519 0.869
Mg 0.020 0.020 0.665
Mg 0.684 0.439 0.439
Mg 0.644 0.856 0.644
Mg 0.662 0.662 0.233
Mg 0.020 0.665 0.294
Mg 0.856 0.644 0.644
Mg 0.168 0.168 0.168
Mg 0.644 0.644 0.856
Mg 0.665 0.294 0.020
Mg 0.093 0.519 0.519
Mg 0.181 0.181 0.819
Mg 0.020 0.294 0.665
Mg 0.294 0.665 0.020
Mg 0.662 0.233 0.662
Mg 0.662 0.443 0.662
Mg 0.914 0.280 0.280
Mg 0.844 0.052 0.052
Mg 0.052 0.844 0.052
Mg 0.093 0.869 0.519
Mg 0.052 0.052 0.844
Mg 0.443 0.662 0.662
Mg 0.869 0.519 0.093
Mg 0.304 0.088 0.304
Mg 0.785 0.431 0.785
Mg 0.785 0.000 0.785
Mg 0.052 0.052 0.052
Mg 0.000 0.785 0.431
Mg 0.665 0.020 0.294
Mg 0.233 0.662 0.443
Mg 0.093 0.519 0.869
Mg 0.181 0.819 0.819
Mg 0.785 0.000 0.431
Mg 0.665 0.020 0.020
Mg 0.519 0.093 0.519
Mg 0.662 0.233 0.443
Mg 0.869 0.093 0.519
Mg 0.168 0.497 0.168
Mg 0.088 0.304 0.304
Mg 0.000 0.785 0.785
Mg 0.181 0.819 0.181
Mg 0.443 0.662 0.233
Mg 0.914 0.280 0.525
Mg 0.280 0.280 0.525
Mg 0.785 0.431 0.000
Mg 0.168 0.168 0.497
Mg 0.662 0.443 0.233
Mg 0.819 0.181 0.181
Mg 0.443 0.233 0.662
Mg 0.020 0.294 0.020
Mg 0.519 0.869 0.093
Mg 0.294 0.020 0.665
Mg 0.000 0.431 0.785
Mg 0.431 0.785 0.785
Mg 0.431 0.785 0.000
Mg 0.525 0.280 0.914
Mg 0.869 0.519 0.519
Mg 0.644 0.856 0.856
Mg 0.439 0.439 0.684
Mg 0.519 0.093 0.869
Mg 0.819 0.181 0.819
Mg 0.785 0.785 0.431
Mg 0.497 0.168 0.168
Mg 0.439 0.439 0.439
Mg 0.662 0.662 0.443
Mg 0.304 0.304 0.304
Mg 0.525 0.914 0.280
Mg 0.785 0.785 0.000
Mg 0.280 0.914 0.525
Mg 0.020 0.665 0.020
Mg 0.304 0.304 0.088
Mg 0.519 0.519 0.093
Mg 0.233 0.662 0.662
Mg 0.431 0.000 0.785
Mg 0.294 0.020 0.020
Mg 0.819 0.819 0.181
Mg 0.856 0.644 0.856
Mg 0.280 0.280 0.914
Mg 0.856 0.856 0.644
Mg 0.020 0.020 0.294
Mg 0.233 0.443 0.662
Mg 0.280 0.525 0.280
Mg 0.280 0.525 0.914
Mg 0.280 0.914 0.280
Mg 0.525 0.280 0.280
Ir 0.045 0.652 0.652
Ir 0.413 0.087 0.413
Ir 0.250 0.917 0.917
Ir 0.652 0.045 0.652
Ir 0.413 0.413 0.087
Ir 0.652 0.652 0.045
Ir 0.917 0.917 0.250
Ir 0.087 0.087 0.413
Ir 0.087 0.413 0.413
Ir 0.652 0.652 0.652
Ir 0.413 0.087 0.087
Ir 0.087 0.413 0.087
Ir 0.917 0.250 0.917
Ir 0.917 0.917 0.917

Calculated volume = 1985 Å³/cell
SG = F-43m (216)

***

Computed, not measured: a geometry-optimized Ni4Mo structure at the r²SCAN level of DFT.

abc: 3.522 4.381 4.381
angles: 80.70 66.30 66.30
Atoms (fractional coordinates):
Ni 0.599 0.599 0.202
Ni 0.401 0.401 0.798
Ni 0.801 0.798 0.599
Ni 0.199 0.202 0.401
Mo 0.000 0.000 0.000

Calculated volume = 57 Å³/cell
SG = I4/m (87)

***

| no. | formation enthalpy at 0 K (meV/atom) | VASP energy (eV per atom) |
| --- | --- | --- |
| 1 | -367.5 | -16.97 |
| 2 | -685.7 | -18.44 |
| 3 | -409.6 | -37.78 |
| 4 | -468.3 | -35.71 |
| 5 | -227.7 | -11.01 |
| 6 | -34.8 | -14.83 |